Below is Sr7Re4O19 after structural relaxation, with properties calculated at the r2SCAN level.

Cell lengths 7.3946, 7.3946, 10.4263 Å; angles 98.00, 98.00, 44.39 degrees
Last column: nearest neighbours and their distance in Å.
Element x y z (fractional)
1 Sr 0.0000 0.0000 0.0000  12 O 2.71-2.79
2 Sr 0.0838 0.0838 0.6652  6 O 2.50-2.63
3 Sr 0.2898 0.2898 0.9114  10 O 2.63-2.89
4 Sr 0.3598 0.3598 0.5433  6 O 2.52-2.67
5 Sr 0.6402 0.6402 0.4567  6 O 2.52-2.67
6 Sr 0.7102 0.7102 0.0886  10 O 2.63-2.89
7 Sr 0.9162 0.9162 0.3348  6 O 2.50-2.63
8 Re 0.1702 0.1702 0.2809  6 O 1.83-2.02
9 Re 0.4656 0.4656 0.1765  6 O 1.88-1.99
10 Re 0.5344 0.5344 0.8235  6 O 1.88-1.99
11 Re 0.8298 0.8298 0.7191  6 O 1.83-2.02
12 O 0.0165 0.4978 0.3467  1 Re 1.86
13 O 0.1022 0.1022 0.4301  1 Re 1.93
14 O 0.1282 0.6214 0.1258  1 Re 1.88
15 O 0.1838 0.6746 0.7844  2 Re 1.99-2.02
16 O 0.1961 0.1961 0.1141  1 Re 1.83
17 O 0.3254 0.8162 0.2156  2 Re 1.99-2.02
18 O 0.3786 0.8718 0.8742  1 Re 1.88
19 O 0.4547 0.4547 0.3546  1 Re 1.89
20 O 0.4978 0.0165 0.3467  1 Re 1.86
21 O 0.5000 0.5000 0.0000  2 Re 1.97
22 O 0.5022 0.9835 0.6533  1 Re 1.86
23 O 0.5453 0.5453 0.6454  1 Re 1.89
24 O 0.6214 0.1282 0.1258  1 Re 1.88
25 O 0.6746 0.1838 0.7844  2 Re 1.99-2.02
26 O 0.8039 0.8039 0.8859  1 Re 1.83
27 O 0.8162 0.3254 0.2156  2 Re 1.99-2.02
28 O 0.8718 0.3786 0.8742  1 Re 1.88
29 O 0.8978 0.8978 0.5699  1 Re 1.93
30 O 0.9835 0.5022 0.6533  1 Re 1.86

The formation enthalpy at 0 K comes out at -2.521 eV/atom. Its total magnetic moment is 2.10 μB/f.u. The total energy is -0.6183 Ha/atom.